A plane-wave DFT calculation with PBE with a Hubbard U was carried out for Na2CaNi2P4H20O24 after structural relaxation.

a b c (Å): 17.454 8.177 17.599
angles (deg): 75.52 26.98 77.50
Fractional coordinates of all 106 atoms:
1 Na 0.306 0.694 0.394
2 Na 0.644 0.856 0.556
3 Na 0.694 0.306 0.606
4 Na 0.856 0.644 0.944
5 Ca 0.659 0.659 0.341
6 Ca 0.909 0.909 0.591
7 Ni 0.244 0.787 0.969
8 Ni 0.251 0.281 0.463
9 Ni 0.281 0.251 0.006
10 Ni 0.787 0.244 0.999
11 P 0.035 0.490 0.101
12 P 0.149 0.876 0.215
13 P 0.389 0.531 0.751
14 P 0.490 0.035 0.374
15 P 0.499 0.921 0.861
16 P 0.531 0.389 0.329
17 P 0.876 0.149 0.760
18 P 0.921 0.499 0.719
19 H 0.014 0.159 0.367
20 H 0.084 0.101 0.815
21 H 0.085 0.304 0.802
22 H 0.089 0.570 0.372
23 H 0.101 0.084 0.000
24 H 0.148 0.900 0.617
25 H 0.159 0.014 0.460
26 H 0.173 0.490 0.802
27 H 0.174 0.411 0.353
28 H 0.181 0.735 0.652
29 H 0.188 0.897 0.839
30 H 0.250 0.435 0.149
31 H 0.281 0.878 0.680
32 H 0.285 0.988 0.282
33 H 0.299 0.491 0.622
34 H 0.304 0.085 0.809
35 H 0.411 0.174 0.062
36 H 0.435 0.250 0.166
37 H 0.441 0.448 0.946
38 H 0.448 0.441 0.165
39 H 0.448 0.716 0.077
40 H 0.490 0.173 0.534
41 H 0.491 0.299 0.588
42 H 0.570 0.089 0.969
43 H 0.598 0.818 0.069
44 H 0.628 0.662 0.951
45 H 0.633 0.914 0.102
46 H 0.662 0.628 0.759
47 H 0.716 0.448 0.760
48 H 0.735 0.181 0.432
49 H 0.790 0.883 0.091
50 H 0.805 0.968 0.262
51 H 0.818 0.598 0.515
52 H 0.878 0.281 0.161
53 H 0.883 0.790 0.236
54 H 0.897 0.188 0.076
55 H 0.900 0.148 0.336
56 H 0.914 0.633 0.350
57 H 0.968 0.805 0.965
58 H 0.988 0.285 0.445
59 O 0.021 0.206 0.849
60 O 0.041 0.659 0.120
61 O 0.056 0.791 0.373
62 O 0.065 0.338 0.144
63 O 0.070 0.130 0.591
64 O 0.106 0.797 0.185
65 O 0.113 0.491 0.540
66 O 0.120 0.450 0.349
67 O 0.120 0.778 0.656
68 O 0.130 0.070 0.209
69 O 0.169 0.901 0.800
70 O 0.176 0.488 0.744
71 O 0.190 0.934 0.400
72 O 0.192 0.499 0.900
73 O 0.206 0.021 0.925
74 O 0.325 0.401 0.044
75 O 0.338 0.065 0.453
76 O 0.350 0.841 0.058
77 O 0.392 0.427 0.390
78 O 0.395 0.710 0.759
79 O 0.401 0.325 0.229
80 O 0.427 0.392 0.791
81 O 0.450 0.120 0.081
82 O 0.459 0.860 0.823
83 O 0.470 0.877 0.459
84 O 0.488 0.176 0.592
85 O 0.491 0.113 0.855
86 O 0.492 0.513 0.590
87 O 0.499 0.192 0.409
88 O 0.506 0.658 0.074
89 O 0.513 0.492 0.405
90 O 0.594 0.805 0.130
91 O 0.658 0.506 0.762
92 O 0.659 0.041 0.180
93 O 0.660 0.845 0.758
94 O 0.710 0.395 0.137
95 O 0.774 0.850 0.316
96 O 0.778 0.120 0.445
97 O 0.791 0.056 0.780
98 O 0.797 0.106 0.912
99 O 0.805 0.594 0.472
100 O 0.841 0.350 0.751
101 O 0.845 0.660 0.737
102 O 0.850 0.774 0.060
103 O 0.860 0.459 0.858
104 O 0.877 0.470 0.194
105 O 0.901 0.169 0.130
106 O 0.934 0.190 0.476

Output
Final energy in eV per atom: -5.6609
ρ in Mg/m³: 2.202
Space group: No. 43